Record 1
Compound: UO5
Source: the Materials Project
Functional: PBE
Structure: relaxed

a = 5.2106 Å, b = 5.2106 Å, c = 5.2106 Å
α = 99.76°, β = 99.76°, γ = 131.37°
Fractional positions:
O  0.7408  0.0915  0.8323
O  0.5000  0.5000  0.0000
U  0.0000  0.0000  0.0000
O  0.2592  0.9085  0.1677
O  0.9085  0.7408  0.6493
O  0.0915  0.2592  0.3507

The crystal system is tetragonal. The calculated formation energy is -1.823 eV/atom. Its space group is I4/m (87). The calculation puts the volume at 16.13 Å³/atom.

=====

Record 2
Compound: U17O31
Source: the Materials Project
Functional: PBE
Structure: relaxed

a = 8.6177 Å, b = 8.6177 Å, c = 22.0929 Å
α = 74.16°, β = 74.16°, γ = 25.74°
Fractional positions:
U  0.4756  0.4756  0.2922
U  0.6467  0.6467  0.5289
O  0.1961  0.1961  0.3387
O  0.4776  0.4776  0.3957
U  0.8213  0.8213  0.7651
U  0.4114  0.4114  0.8824
U  0.5834  0.5834  0.1195
O  0.9626  0.9626  0.6925
O  0.9864  0.9864  0.8952
O  0.6038  0.6038  0.2184
O  0.5152  0.5152  0.6023
O  0.1657  0.1657  0.1235
U  0.7589  0.7589  0.3521
U  0.8812  0.8812  0.1787
O  0.8931  0.8931  0.2884
O  0.0482  0.0482  0.3080
U  0.7063  0.7063  0.9387
O  0.8628  0.8628  0.0731
O  0.6291  0.6291  0.4263
O  0.0742  0.0742  0.5142
O  0.8120  0.8120  0.6615
U  0.0019  0.0019  0.9998
O  0.1320  0.1320  0.9256
U  0.2398  0.2398  0.6453
O  0.4300  0.4300  0.9852
O  0.5811  0.5811  0.0162
O  0.3679  0.3679  0.5732
U  0.0568  0.0568  0.4121
O  0.7856  0.7856  0.4479
U  0.1177  0.1177  0.8261
O  0.5501  0.5501  0.7992
O  0.4551  0.4551  0.1934
U  0.5255  0.5255  0.7051
O  0.2426  0.2426  0.7487
O  0.3097  0.3097  0.1624
O  0.0106  0.0106  0.1037
O  0.7491  0.7491  0.2495
O  0.6912  0.6912  0.8391
O  0.2206  0.2206  0.5445
O  0.9271  0.9271  0.4862
O  0.3937  0.3937  0.7794
U  0.2999  0.2999  0.0598
O  0.2736  0.2736  0.9640
U  0.9427  0.9427  0.5873
O  0.8370  0.8370  0.8695
U  0.3529  0.3529  0.4736
O  0.6561  0.6561  0.6426
U  0.1776  0.1776  0.2331

The crystal system is monoclinic. The calculated formation energy is -3.642 eV/atom. Its space group is Cm (8). The calculation puts the volume at 14.25 Å³/atom.

=====

Record 3
Compound: U3O5
Source: the Materials Project
Functional: PBE
Structure: relaxed

a = 3.8269 Å, b = 3.8269 Å, c = 9.4473 Å
α = 90.00°, β = 90.00°, γ = 120.00°
Fractional positions:
U  0.0000  0.0000  0.0009
U  0.3333  0.6667  0.6579
O  0.6667  0.3333  0.0549
O  0.3333  0.6667  0.4152
O  0.0000  0.0000  0.2423
U  0.6667  0.3333  0.3295
O  0.0000  0.0000  0.7640
O  0.6667  0.3333  0.5812

The crystal system is trigonal. The calculated formation energy is -3.428 eV/atom. Its space group is P3m1 (156). The calculation puts the volume at 14.98 Å³/atom.

=====

Record 4
Compound: U3O7
Source: the Materials Project
Functional: PBE
Structure: relaxed

a = 6.5692 Å, b = 6.5692 Å, c = 6.5692 Å
α = 146.49°, β = 130.55°, γ = 61.06°
Fractional positions:
U  0.3450  0.3450  0.0000
O  0.2170  0.5000  0.7170
O  0.5000  0.0000  0.5000
O  0.0573  0.8232  0.2340
O  0.9427  0.1768  0.7660
O  0.4108  0.1768  0.2340
U  0.0000  0.0000  0.0000
U  0.6550  0.6550  0.0000
O  0.5892  0.8232  0.7660
O  0.7830  0.5000  0.2830

The crystal system is orthorhombic. The calculated formation energy is -3.552 eV/atom. Its space group is Immm (71). The calculation puts the volume at 11.78 Å³/atom.

=====

Record 5
Compound: UO3
Source: the Materials Project
Functional: PBE
Structure: relaxed

a = 11.2438 Å, b = 11.2438 Å, c = 11.2438 Å
α = 143.84°, β = 143.84°, γ = 52.06°
Fractional positions:
O  0.5183  0.7177  0.8007
O  0.9414  0.1815  0.2402
O  0.1665  0.8592  0.3073
O  0.8185  0.0586  0.7598
O  0.2823  0.4817  0.1993
O  0.5835  0.3908  0.1927
U  0.1890  0.1890  0.0000
O  0.5519  0.8592  0.6927
U  0.3750  0.1250  0.7500
U  0.3750  0.6250  0.7500
O  0.8330  0.5323  0.3007
O  0.6092  0.4165  0.8073
O  0.9315  0.1914  0.7402
O  0.1408  0.4481  0.3073
O  0.1981  0.3908  0.8073
U  0.8750  0.6250  0.2500
O  0.8086  0.0685  0.2598
O  0.2988  0.0586  0.2402
U  0.9390  0.4390  0.5000
O  0.4677  0.1670  0.6993
O  0.2317  0.5323  0.6993
O  0.9170  0.7177  0.1993
O  0.4677  0.7683  0.3007
O  0.9414  0.7012  0.7598
O  0.4512  0.1914  0.2598
O  0.1408  0.8335  0.6927
U  0.5610  0.0610  0.5000
U  0.8110  0.8110  0.0000
O  0.2823  0.0830  0.8007
U  0.3750  0.6250  0.2500
O  0.6092  0.8019  0.1927
O  0.8086  0.5488  0.7402

The calculation puts the energy above the most stable polymorph in this dataset at 0.33 eV per formula unit. The crystal system is tetragonal. The calculated formation energy is -3.530 eV/atom. Its space group is I4_1/amd (141). The calculation puts the volume at 15.38 Å³/atom.

=====

Record 6
Compound: UO3
Source: the Materials Project
Functional: PBE
Structure: relaxed

a = 3.8093 Å, b = 3.8093 Å, c = 4.1526 Å
α = 90.00°, β = 90.00°, γ = 120.00°
Fractional positions:
O  0.6667  0.3333  0.8869
O  0.0000  0.0000  0.5000
U  0.0000  0.0000  0.0000
O  0.3333  0.6667  0.1131

The calculation puts the energy above the most stable polymorph in this dataset at 0.46 eV per formula unit. The crystal system is trigonal. The calculated formation energy is -3.498 eV/atom. Its space group is P-3m1 (164). The calculation puts the volume at 13.05 Å³/atom.

=====

Record 7
Compound: UO3
Source: the Materials Project
Functional: PBE
Structure: relaxed

a = 4.1648 Å, b = 4.1648 Å, c = 4.1648 Å
α = 90.00°, β = 90.00°, γ = 90.00°
Fractional positions:
O  0.0000  0.5000  0.0000
O  0.0000  0.0000  0.5000
U  0.0000  0.0000  0.0000
O  0.5000  0.0000  0.0000

The calculation puts the energy above the most stable polymorph in this dataset at 0.00 eV per formula unit. The crystal system is cubic. The calculated formation energy is -3.612 eV/atom. Its space group is Pm-3m (221). The calculation puts the volume at 18.06 Å³/atom.

=====

Record 8
Compound: UO3
Source: the Materials Project
Functional: PBE
Structure: relaxed

a = 4.2035 Å, b = 4.1965 Å, c = 19.7445 Å
α = 84.70°, β = 90.00°, γ = 90.00°
Fractional positions:
U  0.0000  0.2925  0.0956
U  0.0000  0.2623  0.8777
O  0.5000  0.6191  0.4538
O  0.0000  0.3217  0.7725
O  0.7520  0.7196  0.1186
O  0.0000  0.9197  0.6648
O  0.0000  0.7419  0.9212
U  0.0000  0.6094  0.4537
O  0.5000  0.7302  0.2483
O  0.5000  0.2520  0.8815
O  0.0000  0.5122  0.5589
O  0.0000  0.1111  0.4508
U  0.0000  0.7109  0.2398
O  0.0000  0.7761  0.8464
O  0.0000  0.2295  0.0002
U  0.0000  0.4206  0.6654
O  0.2480  0.7196  0.1186
O  0.5000  0.4212  0.6663
O  0.0000  0.6640  0.3423
O  0.0000  0.2262  0.2078

The calculation puts the energy above the most stable polymorph in this dataset at 3.13 eV per formula unit. The crystal system is monoclinic. The calculated formation energy is -2.831 eV/atom. Its space group is Pm (6). The calculation puts the volume at 17.34 Å³/atom.

=====

Record 9
Compound: UO3
Source: the Materials Project
Functional: PBE
Structure: relaxed

a = 11.3025 Å, b = 11.2806 Å, c = 6.9742 Å
α = 72.18°, β = 71.84°, γ = 35.98°
Fractional positions:
O  0.1646  0.7695  0.5340
U  0.8110  0.8110  0.1890
O  0.4152  0.8021  0.3949
O  0.5340  0.5320  0.1646
O  0.8551  0.8622  0.8348
O  0.8021  0.4152  0.3878
O  0.5320  0.5340  0.7695
O  0.8622  0.8551  0.4479
O  0.1991  0.1831  0.5486
O  0.3878  0.3949  0.8021
U  0.4390  0.4390  0.0610
O  0.0692  0.5486  0.1831
O  0.0854  0.4805  0.7160
O  0.7180  0.7160  0.4805
U  0.0610  0.0610  0.4390
O  0.4479  0.8348  0.8622
U  0.1250  0.6250  0.6250
U  0.6250  0.6250  0.6250
U  0.6250  0.1250  0.6250
U  0.1890  0.1890  0.8110
O  0.3949  0.3878  0.4152
O  0.4805  0.0854  0.7180
O  0.8348  0.4479  0.8551
O  0.5486  0.0692  0.1991
O  0.7014  0.1808  0.0509
O  0.0669  0.0509  0.1808
O  0.7160  0.7180  0.0854
O  0.0509  0.0669  0.7014
O  0.7695  0.1646  0.5320
O  0.1808  0.7014  0.0669
U  0.6250  0.6250  0.1250
O  0.1831  0.1991  0.0692

The calculation puts the energy above the most stable polymorph in this dataset at 0.33 eV per formula unit. The crystal system is orthorhombic. The calculated formation energy is -3.529 eV/atom. Its space group is Fddd (70). The calculation puts the volume at 15.44 Å³/atom.

=====

Record 10
Compound: UO3
Source: the Materials Project
Functional: PBE
Structure: relaxed

a = 14.5100 Å, b = 4.0746 Å, c = 10.4861 Å
α = 82.52°, β = 90.00°, γ = 90.00°
Fractional positions:
O  0.0123  0.5771  0.8604
O  0.2259  0.8018  0.2976
U  0.4577  0.6146  0.6992
O  0.1446  0.6615  0.6505
O  0.6006  0.9823  0.9390
O  0.2178  0.2248  0.4840
O  0.4573  0.5387  0.9102
U  0.9577  0.3854  0.3008
U  0.7339  0.7983  0.8015
O  0.8267  0.3561  0.3423
U  0.2339  0.2017  0.1985
O  0.3267  0.6439  0.6577
O  0.9778  0.7036  0.4720
U  0.4818  0.9974  0.0014
U  0.2177  0.1602  0.6570
O  0.6446  0.3385  0.3495
O  0.5123  0.4229  0.1396
O  0.7178  0.7752  0.5160
O  0.1006  0.0177  0.0610
O  0.9368  0.9074  0.2278
O  0.3610  0.3094  0.2991
O  0.7364  0.4525  0.9267
O  0.7259  0.1982  0.7024
O  0.5864  0.6481  0.7177
U  0.7177  0.8398  0.3430
O  0.9573  0.4613  0.0898
O  0.2364  0.5475  0.0733
U  0.9818  0.0026  0.9986
U  0.4979  0.3447  0.3344
O  0.8661  0.9957  0.9243
O  0.7222  0.9029  0.1706
O  0.8610  0.6906  0.7009
O  0.4778  0.2964  0.5280
O  0.4368  0.0926  0.7722
O  0.5352  0.8473  0.3279
O  0.2222  0.0971  0.8294
U  0.9979  0.6553  0.6656
O  0.3661  0.0043  0.0757
O  0.0864  0.3519  0.2823
O  0.0352  0.1527  0.6721

The calculation puts the energy above the most stable polymorph in this dataset at 0.54 eV per formula unit. The crystal system is monoclinic. The calculated formation energy is -3.478 eV/atom. Its space group is P2_1 (4). The calculation puts the volume at 15.37 Å³/atom.

=====

Record 11
Compound: UO3
Source: the Materials Project
Functional: PBE
Structure: relaxed

a = 3.9917 Å, b = 3.9917 Å, c = 4.1445 Å
α = 90.00°, β = 90.00°, γ = 123.06°
Fractional positions:
U  0.5000  0.5000  0.0000
O  0.5000  0.5000  0.5000
O  0.1630  0.8370  0.0000
O  0.8370  0.1630  0.0000

The calculation puts the energy above the most stable polymorph in this dataset at 0.79 eV per formula unit. The crystal system is orthorhombic. The calculated formation energy is -3.415 eV/atom. Its space group is Cmmm (65). The calculation puts the volume at 13.84 Å³/atom.

=====

Record 12
Compound: UO3
Source: the Materials Project
Functional: PBE
Structure: relaxed

a = 5.2485 Å, b = 5.5424 Å, c = 7.5683 Å
α = 90.00°, β = 90.00°, γ = 90.00°
Fractional positions:
O  0.5330  0.3588  0.5943
U  0.2163  0.8781  0.3157
O  0.5683  0.1170  0.2475
O  0.5836  0.3677  0.9278
U  0.2837  0.1219  0.8157
O  0.0683  0.3830  0.7525
O  0.0836  0.1323  0.0722
O  0.9164  0.6323  0.4278
O  0.4317  0.6170  0.2525
O  0.9317  0.8830  0.7475
U  0.7837  0.3781  0.1843
O  0.9670  0.6412  0.0943
O  0.4164  0.8677  0.5722
O  0.4670  0.8588  0.9057
O  0.0330  0.1412  0.4057
U  0.7163  0.6219  0.6843

The calculation puts the energy above the most stable polymorph in this dataset at 0.33 eV per formula unit. The crystal system is orthorhombic. The calculated formation energy is -3.529 eV/atom. Its space group is P2_12_12_1 (19). The calculation puts the volume at 13.76 Å³/atom.